First-principles (GGA+U) data for an optimized crystal structure of Ca3CoO6, as listed in the Materials Project database.

Cell and atoms, written as POSCAR:
```
Ca3CoO6
1.0
6.3997 0.0000 0.0000
0.2615 6.3998 0.0000
0.5289 0.4980 12.6873
Ca Co O
12 4 24
Direct
0.0000 0.0000 0.0000 Ca
0.0007 0.9944 0.5011 Ca
0.1484 0.8523 0.7538 Ca
0.1508 0.8535 0.2512 Ca
0.3506 0.3512 0.6521 Ca
0.3559 0.3485 0.1514 Ca
0.4973 0.1999 0.4019 Ca
0.4997 0.2006 0.8987 Ca
0.6399 0.7109 0.3262 Ca
0.6514 0.6998 0.8266 Ca
0.8500 0.4945 0.5790 Ca
0.8560 0.4998 0.0732 Ca
0.2441 0.6028 0.4510 Co
0.2487 0.6037 0.9538 Co
0.7457 0.1020 0.6985 Co
0.7501 0.1068 0.2017 Co
0.0348 0.1809 0.6641 O
0.0359 0.1801 0.1649 O
0.1691 0.3124 0.4889 O
0.1703 0.3174 0.9870 O
0.1757 0.6779 0.5946 O
0.1814 0.6648 0.0891 O
0.3094 0.5188 0.8225 O
0.3181 0.8759 0.4135 O
0.3217 0.5254 0.3148 O
0.3266 0.8731 0.9170 O
0.4761 0.0252 0.7357 O
0.4760 0.0328 0.2388 O
0.5088 0.5356 0.4916 O
0.5316 0.5301 0.9921 O
0.6695 0.3793 0.7363 O
0.6730 0.1741 0.0581 O
0.6844 0.1697 0.5635 O
0.6884 0.3745 0.2339 O
0.8150 0.8417 0.1602 O
0.8181 0.8189 0.6597 O
0.8241 0.0281 0.3385 O
0.8312 0.0397 0.8297 O
0.9715 0.6809 0.9162 O
0.9766 0.6620 0.4186 O
```

Output
Crystal system: triclinic
Symmetry: P1
Distance to the lowest polymorph of the same formula: 1 meV per atom
Volume: 519.6 Å³/cell
Raw total energy: -240.2 eV for the cell shown
Spin magnetization: 3.0 μB/f.u.
E_form: -2.300 eV per atom